Model w:
Material: Mg6VFeO8
Method: DFT, PBE with a Hubbard U
State: relaxed

Output
As for the space group: P4/mmm, No. 123. For the total moment, the calculation gives 7.000 μB/f.u.

Cell: 4.290 4.290 8.605 Å, 90.00 90.00 90.00°
Atoms (fractional coordinates):
Mg1 0.000 0.000 0.000
Mg2 0.000 0.500 0.248
Mg3 0.000 0.500 0.752
Mg4 0.500 0.000 0.248
Mg5 0.500 0.000 0.752
Mg6 0.500 0.500 0.000
V1 0.000 0.000 0.500
Fe1 0.500 0.500 0.500
O1 0.000 0.000 0.245
O2 0.000 0.000 0.755
O3 0.000 0.500 0.000
O4 0.000 0.500 0.500
O5 0.500 0.000 0.000
O6 0.500 0.000 0.500
O7 0.500 0.500 0.246
O8 0.500 0.500 0.754



Model x:
Material: Mg6VFeO8
Method: DFT, PBE with a Hubbard U
State: relaxed

Output
As for the space group: P4/mmm, No. 123. For the total moment, the calculation gives 7.018 μB/f.u.

Cell: 4.321 4.321 8.541 Å, 90.00 90.00 90.00°
Atoms (fractional coordinates):
Mg1 0.000 0.000 0.000
Mg2 0.000 0.000 0.500
Mg3 0.000 0.500 0.249
Mg4 0.000 0.500 0.751
Mg5 0.500 0.000 0.249
Mg6 0.500 0.000 0.751
V1 0.500 0.500 0.500
Fe1 0.500 0.500 0.000
O1 0.000 0.000 0.251
O2 0.000 0.000 0.749
O3 0.000 0.500 0.000
O4 0.000 0.500 0.500
O5 0.500 0.000 0.000
O6 0.500 0.000 0.500
O7 0.500 0.500 0.247
O8 0.500 0.500 0.753



Which structure is most stable, and how do the rest compare? From most to least stable: model x, model w.



Model w:
Material: Mg2FeWO6
Method: DFT, PBE with a Hubbard U
State: relaxed

Output
As for the space group: P-1, No. 2. For the total moment, the calculation gives 4.000 μB/f.u.

Cell: 5.232 5.336 7.892 Å, 90.03 90.18 90.11°
Atoms (fractional coordinates):
Mg1 0.001 0.460 0.228
Mg2 0.498 0.961 0.272
Mg3 0.502 0.039 0.728
Mg4 0.999 0.540 0.772
Fe1 0.000 0.000 0.000
Fe2 0.500 0.500 0.500
W1 0.000 0.000 0.500
W2 0.500 0.500 0.000
O1 0.128 0.097 0.275
O2 0.159 0.299 0.596
O3 0.180 0.325 0.954
O4 0.320 0.826 0.545
O5 0.342 0.798 0.903
O6 0.371 0.598 0.225
O7 0.629 0.402 0.775
O8 0.658 0.202 0.097
O9 0.680 0.174 0.455
O10 0.820 0.675 0.046
O11 0.841 0.701 0.404
O12 0.872 0.903 0.725



Model x:
Material: Mg2FeWO6
Method: DFT, PBE with a Hubbard U
State: relaxed

Output
As for the space group: P1, No. 1. For the total moment, the calculation gives 3.999 μB/f.u.

Cell: 5.231 5.233 5.568 Å, 90.60 117.39 119.87°
Atoms (fractional coordinates):
Mg1 0.000 0.000 0.000
Mg2 0.009 0.504 0.510
Fe1 0.577 0.787 0.366
W1 0.599 0.300 0.897
O1 0.068 0.682 0.169
O2 0.134 0.927 0.695
O3 0.487 0.561 0.695
O4 0.490 0.391 0.176
O5 0.764 0.201 0.690
O6 0.782 0.103 0.172



Which structure is most stable, and how do the rest compare? From most to least stable: model x, model w.



Model w:
Material: YMg6FeO8
Method: DFT, PBE with a Hubbard U
State: relaxed

Output
As for the space group: P4/mmm, No. 123. For the total moment, the calculation gives 3.444 μB/f.u.

Cell: 4.422 4.422 8.862 Å, 90.00 90.00 90.00°
Atoms (fractional coordinates):
Y1 0.000 0.000 0.000
Mg1 0.000 0.000 0.500
Mg2 0.000 0.500 0.264
Mg3 0.000 0.500 0.736
Mg4 0.500 0.000 0.264
Mg5 0.500 0.000 0.736
Mg6 0.500 0.500 0.500
Fe1 0.500 0.500 0.000
O1 0.000 0.000 0.263
O2 0.000 0.000 0.737
O3 0.000 0.500 0.000
O4 0.000 0.500 0.500
O5 0.500 0.000 0.000
O6 0.500 0.000 0.500
O7 0.500 0.500 0.261
O8 0.500 0.500 0.739



Model x:
Material: YMg6FeO8
Method: DFT, PBE with a Hubbard U
State: relaxed

Output
As for the space group: P4/mmm, No. 123. For the total moment, the calculation gives 3.191 μB/f.u.

Cell: 4.399 4.399 8.981 Å, 90.00 90.00 90.00°
Atoms (fractional coordinates):
Y1 0.000 0.000 0.000
Mg1 0.000 0.500 0.273
Mg2 0.000 0.500 0.727
Mg3 0.500 0.000 0.273
Mg4 0.500 0.000 0.727
Mg5 0.500 0.500 0.000
Mg6 0.500 0.500 0.500
Fe1 0.000 0.000 0.500
O1 0.000 0.000 0.246
O2 0.000 0.000 0.754
O3 0.000 0.500 0.000
O4 0.000 0.500 0.500
O5 0.500 0.000 0.000
O6 0.500 0.000 0.500
O7 0.500 0.500 0.251
O8 0.500 0.500 0.749



Which structure is most stable, and how do the rest compare? From most to least stable: model w, model x.



Model w:
Material: MgZn2Fe4O8
Method: DFT, PBE with a Hubbard U
State: relaxed

Output
As for the space group: Imm2, No. 44. For the total moment, the calculation gives 17.999 μB/f.u.

Cell: 6.585 6.585 6.585 Å, 127.17 125.81 79.09°
Atoms (fractional coordinates):
Mg1 0.000 0.000 0.000
Zn1 0.298 0.561 0.737
Zn2 0.824 0.561 0.263
Fe1 0.260 0.260 0.000
Fe2 0.456 0.956 0.500
Fe3 0.776 0.036 0.260
Fe4 0.776 0.516 0.740
O1 0.086 0.357 0.730
O2 0.088 0.862 0.226
O3 0.126 0.376 0.250
O4 0.126 0.876 0.750
O5 0.579 0.338 0.759
O6 0.579 0.820 0.241
O7 0.627 0.357 0.270
O8 0.636 0.862 0.774



Model x:
Material: MgZn2Fe4O8
Method: DFT, PBE with a Hubbard U
State: relaxed

Output
As for the space group: Pm, No. 6. For the total moment, the calculation gives 18.000 μB/f.u.

Cell: 2.945 11.982 5.197 Å, 90.00 96.83 90.00°
Atoms (fractional coordinates):
Mg1 0.000 0.000 0.000
Zn1 0.113 0.000 0.499
Zn2 0.143 0.500 0.862
Fe1 0.564 0.233 0.832
Fe2 0.564 0.767 0.832
Fe3 0.672 0.357 0.337
Fe4 0.672 0.643 0.337
O1 0.051 0.122 0.750
O2 0.051 0.878 0.750
O3 0.116 0.291 0.125
O4 0.116 0.709 0.125
O5 0.231 0.374 0.610
O6 0.231 0.626 0.610
O7 0.552 0.000 0.243
O8 0.685 0.500 0.137



Which structure is most stable, and how do the rest compare? From most to least stable: model x, model w.



Model w:
Material: MgZn2Fe4O8
Method: DFT, PBE with a Hubbard U
State: relaxed

Output
As for the space group: Imm2, No. 44. For the total moment, the calculation gives 18.002 μB/f.u.

Cell: 6.715 6.715 6.715 Å, 127.69 127.24 77.49°
Atoms (fractional coordinates):
Mg1 0.000 0.000 0.000
Zn1 0.181 0.436 0.255
Zn2 0.181 0.927 0.745
Fe1 0.092 0.829 0.262
Fe2 0.506 0.506 0.000
Fe3 0.567 0.829 0.738
Fe4 0.748 0.248 0.500
O1 0.370 0.140 0.229
O2 0.370 0.625 0.745
O3 0.381 0.123 0.742
O4 0.381 0.639 0.258
O5 0.857 0.090 0.233
O6 0.857 0.623 0.767
O7 0.880 0.625 0.255
O8 0.911 0.140 0.771



Model x:
Material: MgZn2Fe4O8
Method: DFT, PBE with a Hubbard U
State: relaxed

Output
As for the space group: C2, No. 5. For the total moment, the calculation gives 18.000 μB/f.u.

Cell: 8.045 8.045 8.553 Å, 121.80 121.80 21.38°
Atoms (fractional coordinates):
Mg1 0.000 0.000 0.000
Zn1 0.206 0.209 0.248
Zn2 0.791 0.794 0.752
Fe1 0.082 0.088 0.398
Fe2 0.348 0.351 0.161
Fe3 0.649 0.652 0.839
Fe4 0.912 0.918 0.602
O1 0.061 0.065 0.827
O2 0.255 0.259 0.883
O3 0.360 0.365 0.419
O4 0.399 0.401 0.796
O5 0.599 0.601 0.204
O6 0.635 0.640 0.581
O7 0.741 0.745 0.117
O8 0.935 0.939 0.173



Model y:
Material: MgZn2Fe4O8
Method: DFT, PBE with a Hubbard U
State: relaxed

Output
As for the space group: C2/m, No. 12. For the total moment, the calculation gives 8.000 μB/f.u.

Cell: 6.021 6.021 6.310 Å, 118.49 118.49 59.58°
Atoms (fractional coordinates):
Mg1 0.000 0.000 0.000
Zn1 0.165 0.165 0.466
Zn2 0.835 0.835 0.534
Fe1 0.000 0.500 0.000
Fe2 0.500 0.000 0.000
Fe3 0.500 0.500 0.000
Fe4 0.500 0.500 0.500
O1 0.250 0.738 0.751
O2 0.262 0.262 0.265
O3 0.262 0.750 0.249
O4 0.277 0.277 0.819
O5 0.723 0.723 0.181
O6 0.738 0.250 0.751
O7 0.738 0.738 0.735
O8 0.750 0.262 0.249



Which structure is most stable, and how do the rest compare? From most to least stable: model y, model x, model w.



Model w:
Material: MgZn2Fe2O6
Method: DFT, PBE with a Hubbard U
State: relaxed

Output
As for the space group: R-3, No. 148. For the total moment, the calculation gives 10.000 μB/f.u.

Cell: 5.904 5.904 5.904 Å, 52.71 52.71 52.71°
Atoms (fractional coordinates):
Mg1 0.000 0.000 0.000
Zn1 0.397 0.397 0.397
Zn2 0.603 0.603 0.603
Fe1 0.182 0.182 0.182
Fe2 0.818 0.818 0.818
O1 0.064 0.406 0.793
O2 0.207 0.936 0.594
O3 0.406 0.793 0.064
O4 0.594 0.207 0.936
O5 0.793 0.064 0.406
O6 0.936 0.594 0.207



Model x:
Material: MgZn2Fe2O6
Method: DFT, PBE with a Hubbard U
State: relaxed

Output
As for the space group: R3, No. 146. For the total moment, the calculation gives 10.000 μB/f.u.

Cell: 5.821 5.821 5.821 Å, 53.26 53.26 53.26°
Atoms (fractional coordinates):
Mg1 0.000 0.000 0.000
Zn1 0.643 0.643 0.643
Zn2 0.812 0.812 0.812
Fe1 0.277 0.277 0.277
Fe2 0.465 0.465 0.465
O1 0.074 0.396 0.678
O2 0.227 0.873 0.567
O3 0.396 0.678 0.074
O4 0.567 0.227 0.873
O5 0.678 0.074 0.396
O6 0.873 0.567 0.227



Which structure is most stable, and how do the rest compare? From most to least stable: model w, model x.



Model w:
Material: Mn3FeO8
Method: DFT, PBE with a Hubbard U
State: relaxed

Output
As for the space group: R-3m, No. 166. For the total moment, the calculation gives 13.002 μB/f.u.

Cell: 5.827 5.827 5.827 Å, 60.78 60.78 60.78°
Atoms (fractional coordinates):
Mn1 0.000 0.500 0.500
Mn2 0.500 0.000 0.500
Mn3 0.500 0.500 0.000
Fe1 0.000 0.000 0.000
O1 0.238 0.238 0.727
O2 0.238 0.727 0.238
O3 0.266 0.266 0.266
O4 0.273 0.762 0.762
O5 0.727 0.238 0.238
O6 0.734 0.734 0.734
O7 0.762 0.273 0.762
O8 0.762 0.762 0.273



Model x:
Material: Mn3FeO8
Method: DFT, PBE with a Hubbard U
State: relaxed

Output
As for the space group: C2, No. 5. For the total moment, the calculation gives 13.001 μB/f.u.

Cell: 8.305 8.305 8.312 Å, 90.04 90.04 90.09°
Atoms (fractional coordinates):
Mn1 0.000 0.000 0.000
Mn2 0.000 0.752 0.753
Mn3 0.244 0.502 0.753
Mn4 0.247 0.251 0.997
Mn5 0.248 0.000 0.247
Mn6 0.494 0.251 0.749
Mn7 0.498 0.756 0.247
Mn8 0.499 0.005 0.499
Mn9 0.746 0.254 0.500
Mn10 0.749 0.506 0.251
Mn11 0.749 0.753 0.003
Mn12 0.995 0.501 0.501
Fe1 0.247 0.753 0.500
Fe2 0.497 0.503 0.000
Fe3 0.749 0.002 0.752
Fe4 0.998 0.251 0.248
O1 0.011 0.517 0.735
O2 0.014 0.233 0.008
O3 0.016 0.010 0.231
O4 0.016 0.737 0.517
O5 0.229 0.237 0.234
O6 0.230 0.734 0.745
O7 0.231 0.521 0.517
O8 0.234 0.017 0.015
O9 0.255 0.483 0.984
O10 0.262 0.267 0.764
O11 0.263 0.984 0.483
O12 0.266 0.770 0.255
O13 0.479 0.261 0.982
O14 0.479 0.769 0.483
O15 0.481 0.487 0.770
O16 0.483 0.989 0.265
O17 0.505 0.019 0.730
O18 0.512 0.239 0.514
O19 0.513 0.519 0.230
O20 0.517 0.745 0.016
O21 0.729 0.021 0.509
O22 0.730 0.235 0.734
O23 0.733 0.738 0.236
O24 0.739 0.521 0.018
O25 0.761 0.488 0.486
O26 0.763 0.771 0.766
O27 0.765 0.270 0.266
O28 0.767 0.986 0.992
O29 0.979 0.271 0.491
O30 0.981 0.495 0.270
O31 0.983 0.766 0.985
O32 0.990 0.984 0.769



Which structure is most stable, and how do the rest compare? From most to least stable: model w, model x.



Model w:
Material: Mn3FeO8
Method: DFT, PBE with a Hubbard U
State: relaxed

Output
As for the space group: P6_3mc, No. 186. For the total moment, the calculation gives 13.001 μB/f.u.

Cell: 5.798 5.798 9.041 Å, 90.00 90.00 120.00°
Atoms (fractional coordinates):
Mn1 0.168 0.335 0.000
Mn2 0.168 0.832 0.000
Mn3 0.335 0.168 0.500
Mn4 0.665 0.832 0.000
Mn5 0.832 0.168 0.500
Mn6 0.832 0.665 0.500
Fe1 0.333 0.667 0.283
Fe2 0.667 0.333 0.783
O1 0.000 0.000 0.105
O2 0.000 0.000 0.605
O3 0.041 0.520 0.123
O4 0.163 0.326 0.389
O5 0.163 0.837 0.389
O6 0.326 0.163 0.889
O7 0.333 0.667 0.891
O8 0.480 0.520 0.123
O9 0.480 0.959 0.123
O10 0.520 0.041 0.623
O11 0.520 0.480 0.623
O12 0.667 0.333 0.391
O13 0.674 0.837 0.389
O14 0.837 0.163 0.889
O15 0.837 0.674 0.889
O16 0.959 0.480 0.623



Model x:
Material: Mn3FeO8
Method: DFT, PBE with a Hubbard U
State: relaxed

Output
As for the space group: R-3m, No. 166. For the total moment, the calculation gives 12.999 μB/f.u.

Cell: 5.916 5.916 5.916 Å, 58.95 58.95 58.95°
Atoms (fractional coordinates):
Mn1 0.000 0.500 0.500
Mn2 0.500 0.000 0.500
Mn3 0.500 0.500 0.000
Fe1 0.500 0.500 0.500
O1 0.261 0.261 0.706
O2 0.261 0.706 0.261
O3 0.266 0.266 0.266
O4 0.294 0.739 0.739
O5 0.706 0.261 0.261
O6 0.734 0.734 0.734
O7 0.739 0.294 0.739
O8 0.739 0.739 0.294



Which structure is most stable, and how do the rest compare? From most to least stable: model w, model x.